(1)
# Sm2MgAl

A relaxed structure of Sm2MgAl (r2SCAN, the Materials Project database).

Cell: 5.2968 5.2968 5.2968 Å, 60.00 60.00 60.00°
Element x y z (fractional)
Sm: 0.0000 0.0000 0.0000
Sm: 0.5000 0.5000 0.5000
Mg: 0.7500 0.7500 0.7500
Al: 0.2500 0.2500 0.2500

SG	No. 225

---

(2)
# LiNbN2

A relaxed structure of LiNbN2 (r2SCAN, the Materials Project database).

Cell: 6.1335 7.3625 4.2440 Å, 90.00 90.00 90.00°
Element x y z (fractional)
Li: 0.5770 0.3924 0.9426
Li: 0.4230 0.6076 0.4426
Li: 0.9230 0.8924 0.4426
Li: 0.0770 0.1076 0.9426
Nb: 0.5821 0.8655 0.9423
Nb: 0.4179 0.1345 0.4423
Nb: 0.9179 0.3655 0.4423
Nb: 0.0821 0.6345 0.9423
N: 0.5898 0.3551 0.4425
N: 0.4102 0.6449 0.9425
N: 0.9102 0.8551 0.9425
N: 0.0898 0.1449 0.4425
N: 0.5798 0.8966 0.4425
N: 0.4202 0.1034 0.9425
N: 0.9202 0.3966 0.9425
N: 0.0798 0.6034 0.4425

SG	No. 62

---

(3)
# Sc2IrRu

A relaxed structure of Sc2IrRu (r2SCAN, the Materials Project database).

Cell: 4.5341 4.5341 4.5341 Å, 60.00 60.00 60.00°
Element x y z (fractional)
Sc: 0.0000 0.0000 0.0000
Sc: 0.5000 0.5000 0.5000
Ir: 0.2500 0.2500 0.2500
Ru: 0.7500 0.7500 0.7500

SG	No. 225

---

(4)
# TbTlP2Se6

A relaxed structure of TbTlP2Se6 (r2SCAN, the Materials Project database).

Cell: 7.6148 6.8156 10.3450 Å, 88.83 90.00 90.00°
Element x y z (fractional)
Tb: 0.4974 0.2842 0.5022
Tb: 0.9974 0.7158 0.4978
Tl: 0.2191 0.8176 0.9925
Tl: 0.7191 0.1824 0.0075
P: 0.2269 0.3097 0.7938
P: 0.7269 0.6903 0.2062
P: 0.0089 0.1854 0.6747
P: 0.5089 0.8146 0.3253
Se: 0.4377 0.0999 0.7679
Se: 0.9377 0.9001 0.2321
Se: 0.4146 0.0905 0.2440
Se: 0.9146 0.9095 0.7560
Se: 0.3054 0.5677 0.6711
Se: 0.8054 0.4323 0.3289
Se: 0.1336 0.3482 0.9860
Se: 0.6336 0.6518 0.0140
Se: 0.1329 0.1287 0.4846
Se: 0.6329 0.8713 0.5154
Se: 0.8098 0.4214 0.6687
Se: 0.3098 0.5786 0.3313

SG	No. 4

---

(5)
# VPO5

A relaxed structure of VPO5 (r2SCAN, the Materials Project database).

Cell: 6.1632 7.0720 7.5781 Å, 90.00 90.00 90.00°
Element x y z (fractional)
V: 0.2500 0.7342 0.6708
V: 0.7500 0.2342 0.8292
V: 0.2500 0.7658 0.1708
V: 0.7500 0.2658 0.3292
P: 0.7500 0.6199 0.6198
P: 0.2500 0.1199 0.8802
P: 0.7500 0.8801 0.1198
P: 0.2500 0.3801 0.3802
O: 0.2500 0.4970 0.5492
O: 0.5510 0.7473 0.6255
O: 0.9490 0.7473 0.6255
O: 0.7500 0.1582 0.6307
O: 0.2500 0.9904 0.7159
O: 0.7500 0.4904 0.7841
O: 0.2500 0.6582 0.8693
O: 0.0510 0.2473 0.8745
O: 0.4490 0.2473 0.8745
O: 0.7500 0.9970 0.9508
O: 0.2500 0.0030 0.0492
O: 0.5510 0.7527 0.1255
O: 0.9490 0.7527 0.1255
O: 0.7500 0.3418 0.1307
O: 0.7500 0.5030 0.4508
O: 0.7500 0.0096 0.2841
O: 0.2500 0.8418 0.3693
O: 0.0510 0.2527 0.3745
O: 0.4490 0.2527 0.3745
O: 0.2500 0.5096 0.2159

SG	No. 62
excess energy over the best structure of this formula in the dataset	0.002	eV/atom

---

(6)
# CaEu3

A relaxed structure of CaEu3 (r2SCAN, the Materials Project database).

Cell: 7.9983 7.9983 6.3777 Å, 90.00 90.00 120.00°
Element x y z (fractional)
Ca: 0.3333 0.6667 0.7500
Ca: 0.6666 0.3333 0.2500
Eu: 0.1660 0.3320 0.2500
Eu: 0.6680 0.8340 0.2500
Eu: 0.1660 0.8340 0.2500
Eu: 0.8340 0.6680 0.7500
Eu: 0.3320 0.1660 0.7500
Eu: 0.8340 0.1660 0.7500

SG	No. 194

---

Number 1: theoretical density 5.56 g/cm3, energy of formation -298.7 meV/atom. Number 2: theoretical density 4.43 g/cm3, energy of formation -1088.8 meV/atom. Number 3: theoretical density 9.65 g/cm3, energy of formation -892.8 meV/atom. Number 4: theoretical density 5.56 g/cm3, energy of formation -766.7 meV/atom. Number 5: theoretical density 3.26 g/cm3, energy of formation -2425.3 meV/atom. Number 6: theoretical density 4.66 g/cm3, energy of formation 24.4 meV/atom.